Record 1
# DyNiAs PBE optimized geometry
# **Calculated volume**: 220.7 Å³ per cell
# **Calculated formation energy**: -1.05 eV/atom
# **Energy**: -6.07 eV/atom
data_DyNiAs
_chemical_formula_sum 'Dy4 Ni4 As4'
_space_group_name_H-M_alt 'P 1'
_space_group_IT_number 1
_cell_length_a 4.049
_cell_length_b 4.049
_cell_length_c 15.546
_cell_angle_alpha 90.00
_cell_angle_beta 90.00
_cell_angle_gamma 120.00
loop_
_space_group_symop_operation_xyz
'x,y,z'
loop_
_atom_site_label
_atom_site_fract_x
_atom_site_fract_y
_atom_site_fract_z
Dy1 0.000 0.000 0.250
Dy2 0.000 0.000 0.750
Dy3 0.000 0.000 0.000
Dy4 0.000 0.000 0.500
Ni1 0.333 0.667 0.135
Ni2 0.667 0.333 0.865
Ni3 0.667 0.333 0.635
Ni4 0.333 0.667 0.365
As1 0.333 0.667 0.620
As2 0.667 0.333 0.380
As3 0.667 0.333 0.120
As4 0.333 0.667 0.880


Record 2
# DyNiAs PBE optimized geometry
# **Calculated volume**: 55.4 Å³ per cell
# **Calculated formation energy**: -1.05 eV/atom
# **Energy**: -6.07 eV/atom
data_DyNiAs
_chemical_formula_sum 'Dy1 Ni1 As1'
_space_group_name_H-M_alt 'P 1'
_space_group_IT_number 1
_cell_length_a 4.061
_cell_length_b 4.061
_cell_length_c 3.877
_cell_angle_alpha 90.00
_cell_angle_beta 90.00
_cell_angle_gamma 120.00
loop_
_space_group_symop_operation_xyz
'x,y,z'
loop_
_atom_site_label
_atom_site_fract_x
_atom_site_fract_y
_atom_site_fract_z
Dy1 0.667 0.333 0.500
Ni1 0.333 0.667 0.000
As1 0.000 0.000 0.000


Record 3
# Dy2Ni12As7 PBE optimized geometry
# **Calculated volume**: 290.9 Å³ per cell
# **Calculated formation energy**: -0.54 eV/atom
# **Energy**: -5.83 eV/atom
data_Dy2Ni12As7
_chemical_formula_sum 'Dy2 Ni12 As7'
_space_group_name_H-M_alt 'P 1'
_space_group_IT_number 1
_cell_length_a 9.362
_cell_length_b 9.362
_cell_length_c 3.832
_cell_angle_alpha 90.00
_cell_angle_beta 90.00
_cell_angle_gamma 120.00
loop_
_space_group_symop_operation_xyz
'x,y,z'
loop_
_atom_site_label
_atom_site_fract_x
_atom_site_fract_y
_atom_site_fract_z
Dy1 0.667 0.333 0.000
Dy2 0.333 0.667 0.500
Ni1 0.057 0.619 0.000
Ni2 0.562 0.943 0.000
Ni3 0.381 0.438 0.000
Ni4 0.279 0.127 0.000
Ni5 0.848 0.721 0.000
Ni6 0.873 0.152 0.000
Ni7 0.426 0.047 0.500
Ni8 0.622 0.574 0.500
Ni9 0.953 0.378 0.500
Ni10 0.095 0.884 0.500
Ni11 0.789 0.905 0.500
Ni12 0.116 0.211 0.500
As1 0.287 0.883 0.000
As2 0.595 0.713 0.000
As3 0.117 0.405 0.000
As4 0.407 0.296 0.500
As5 0.890 0.593 0.500
As6 0.704 0.110 0.500
As7 0.000 0.000 0.000


Record 4
# Dy5Zr3Ni16As12 PBE optimized geometry
# **Calculated volume**: 546.6 Å³ per cell
# **Calculated formation energy**: -0.83 eV/atom
# **Energy**: -6.30 eV/atom
data_Dy5Zr3Ni16As12
_chemical_formula_sum 'Dy5 Zr3 Ni16 As12'
_space_group_name_H-M_alt 'P 1'
_space_group_IT_number 1
_cell_length_a 3.904
_cell_length_b 12.713
_cell_length_c 12.715
_cell_angle_alpha 120.00
_cell_angle_beta 90.00
_cell_angle_gamma 90.00
loop_
_space_group_symop_operation_xyz
'x,y,z'
loop_
_atom_site_label
_atom_site_fract_x
_atom_site_fract_y
_atom_site_fract_z
Dy1 0.500 0.000 0.183
Dy2 0.500 0.183 0.000
Dy3 0.500 0.817 0.817
Dy4 0.000 0.333 0.667
Dy5 0.000 0.667 0.333
Zr1 0.000 0.000 0.562
Zr2 0.000 0.562 0.000
Zr3 0.000 0.438 0.438
Ni1 0.500 0.000 0.723
Ni2 0.500 0.723 0.000
Ni3 0.500 0.277 0.277
Ni4 0.000 0.193 0.375
Ni5 0.000 0.183 0.807
Ni6 0.000 0.625 0.818
Ni7 0.000 0.817 0.625
Ni8 0.000 0.375 0.193
Ni9 0.000 0.807 0.182
Ni10 0.500 0.121 0.482
Ni11 0.500 0.361 0.879
Ni12 0.500 0.518 0.639
Ni13 0.500 0.639 0.518
Ni14 0.500 0.482 0.121
Ni15 0.500 0.879 0.361
Ni16 0.000 0.000 0.000
As1 0.000 0.000 0.822
As2 0.000 0.822 0.000
As3 0.000 0.178 0.178
As4 0.500 0.307 0.480
As5 0.500 0.172 0.693
As6 0.500 0.520 0.828
As7 0.500 0.828 0.520
As8 0.500 0.480 0.307
As9 0.500 0.693 0.172
As10 0.000 0.000 0.355
As11 0.000 0.355 0.000
As12 0.000 0.645 0.645


calculated volume of number 2 (DyNiAs)? 55.4 Å³ per cell


Look up the calculated volume of the first one. 220.7 Å³ per cell


Repeat the third record exactly.
# Dy2Ni12As7 PBE optimized geometry
# **Calculated volume**: 290.9 Å³ per cell
# **Calculated formation energy**: -0.54 eV/atom
# **Energy**: -5.83 eV/atom
data_Dy2Ni12As7
_chemical_formula_sum 'Dy2 Ni12 As7'
_space_group_name_H-M_alt 'P 1'
_space_group_IT_number 1
_cell_length_a 9.362
_cell_length_b 9.362
_cell_length_c 3.832
_cell_angle_alpha 90.00
_cell_angle_beta 90.00
_cell_angle_gamma 120.00
loop_
_space_group_symop_operation_xyz
'x,y,z'
loop_
_atom_site_label
_atom_site_fract_x
_atom_site_fract_y
_atom_site_fract_z
Dy1 0.667 0.333 0.000
Dy2 0.333 0.667 0.500
Ni1 0.057 0.619 0.000
Ni2 0.562 0.943 0.000
Ni3 0.381 0.438 0.000
Ni4 0.279 0.127 0.000
Ni5 0.848 0.721 0.000
Ni6 0.873 0.152 0.000
Ni7 0.426 0.047 0.500
Ni8 0.622 0.574 0.500
Ni9 0.953 0.378 0.500
Ni10 0.095 0.884 0.500
Ni11 0.789 0.905 0.500
Ni12 0.116 0.211 0.500
As1 0.287 0.883 0.000
As2 0.595 0.713 0.000
As3 0.117 0.405 0.000
As4 0.407 0.296 0.500
As5 0.890 0.593 0.500
As6 0.704 0.110 0.500
As7 0.000 0.000 0.000